Record 1
Entry from the Materials Project: a geometry-optimized CsW3I3Cl4 structure (PBE).

Cell and atoms, written as CIF:
```
data_CsW3I3Cl4
_chemical_formula_sum 'Cs4 W12 I12 Cl16'
_symmetry_space_group_name_H-M 'P 3 1 c'
_symmetry_Int_Tables_number 159
_cell_length_a 10.7422
_cell_length_b 10.7422
_cell_length_c 16.0797
_cell_angle_alpha 90.00
_cell_angle_beta 90.00
_cell_angle_gamma 120.00
loop_
_symmetry_equiv_pos_as_xyz
'x,y,z'
'-y,x-y,z'
'-x+y,-x,z'
'y,x,z+1/2'
'x-y,-y,z+1/2'
'-x,-x+y,z+1/2'
loop_
_atom_site_label
_atom_site_type_symbol
_atom_site_fract_x
_atom_site_fract_y
_atom_site_fract_z
Cs1 Cs 0.0000 0.0000 0.0000
Cs2 Cs 0.3333 0.6667 0.2145
W1 W 0.1866 0.6562 0.6471
W2 W 0.1955 0.5204 0.7810
I1 I 0.0268 0.3260 0.3753
I2 I 0.0463 0.6764 0.0518
Cl1 Cl 0.0569 0.6519 0.7793
Cl2 Cl 0.0750 0.3867 0.6487
Cl3 Cl 0.3333 0.6667 0.5232
Cl4 Cl 0.3333 0.6667 0.9042
```

Calculated values
energy of formation from the pure elements = -91.39 kJ/mol of atoms
V = 401.7 Å³/f.u.
final energy = -5.427 eV/atom
total magnetization = 0.0 μB per formula unit

Record 2
Entry from the Materials Project: a geometry-optimized CsInCl3 structure (PBE).

Cell and atoms, written as CIF:
```
data_CsInCl3
_chemical_formula_sum 'Cs8 In8 Cl24'
_symmetry_space_group_name_H-M 'F m -3 m'
_symmetry_Int_Tables_number 225
_symmetry_space_group_name_Hall '-F 4 2 3'
_cell_length_a 11.1694
_cell_length_b 11.1694
_cell_length_c 11.1694
_cell_angle_alpha 90.00
_cell_angle_beta 90.00
_cell_angle_gamma 90.00
loop_
_atom_site_label
_atom_site_type_symbol
_atom_site_fract_x
_atom_site_fract_y
_atom_site_fract_z
Cs1 Cs 0.2500 0.2500 0.2500
In1 In 0.0000 0.0000 0.0000
In2 In 0.0000 0.0000 0.5000
Cl1 Cl 0.0000 0.0000 0.2297
```

Calculated values
energy of formation from the pure elements = -175.33 kJ/mol of atoms
V = 174.2 Å³/f.u.
final energy = -3.287 eV/atom

Copy entry 1 word for word.
Entry from the Materials Project: a geometry-optimized CsW3I3Cl4 structure (PBE).

Cell and atoms, written as CIF:
```
data_CsW3I3Cl4
_chemical_formula_sum 'Cs4 W12 I12 Cl16'
_symmetry_space_group_name_H-M 'P 3 1 c'
_symmetry_Int_Tables_number 159
_cell_length_a 10.7422
_cell_length_b 10.7422
_cell_length_c 16.0797
_cell_angle_alpha 90.00
_cell_angle_beta 90.00
_cell_angle_gamma 120.00
loop_
_symmetry_equiv_pos_as_xyz
'x,y,z'
'-y,x-y,z'
'-x+y,-x,z'
'y,x,z+1/2'
'x-y,-y,z+1/2'
'-x,-x+y,z+1/2'
loop_
_atom_site_label
_atom_site_type_symbol
_atom_site_fract_x
_atom_site_fract_y
_atom_site_fract_z
Cs1 Cs 0.0000 0.0000 0.0000
Cs2 Cs 0.3333 0.6667 0.2145
W1 W 0.1866 0.6562 0.6471
W2 W 0.1955 0.5204 0.7810
I1 I 0.0268 0.3260 0.3753
I2 I 0.0463 0.6764 0.0518
Cl1 Cl 0.0569 0.6519 0.7793
Cl2 Cl 0.0750 0.3867 0.6487
Cl3 Cl 0.3333 0.6667 0.5232
Cl4 Cl 0.3333 0.6667 0.9042
```

Calculated values
energy of formation from the pure elements = -91.39 kJ/mol of atoms
V = 401.7 Å³/f.u.
final energy = -5.427 eV/atom
total magnetization = 0.0 μB per formula unit

Which formula does entry 1 have? CsW3I3Cl4

Which of these has the highest final energy? CsInCl3